Compound: NaZr2Zn2PS5O24
Source: the Materials Project
Functional: GGA-PBE
Structure: optimized geometry

Cell lengths 9.421, 9.264, 23.038 Å; angles 88.90, 90.20, 120.99 degrees
Fractional positions:
Na 0.740 0.435 0.832
Na 0.604 0.296 0.303
Na 0.303 0.715 0.162
Zr 0.017 0.019 0.354
Zr 0.985 0.012 0.639
Zr 0.005 0.009 0.141
Zr 0.669 0.331 0.984
Zr 0.344 0.662 0.313
Zr 0.317 0.656 0.808
Zn 0.056 0.145 0.788
Zn 0.662 0.350 0.651
Zn 0.626 0.311 0.158
Zn 0.633 0.344 0.493
Zn 0.266 0.618 0.018
Zn 0.273 0.678 0.544
P 0.151 0.853 0.256
P 0.728 0.862 0.263
P 0.024 0.517 0.904
S 0.241 0.319 0.235
S 0.310 0.382 0.701
S 0.029 0.732 0.739
S 0.641 0.965 0.722
S 0.914 0.318 0.582
S 0.349 0.055 0.578
S 0.694 0.640 0.573
S 0.932 0.620 0.086
S 0.703 0.021 0.053
S 0.277 0.264 0.032
S 0.408 0.405 0.895
S 0.563 0.007 0.894
S 0.702 0.021 0.335
S 0.400 0.350 0.387
S 0.964 0.610 0.349
O 0.190 0.987 0.301
O 0.818 0.803 0.303
O 0.003 0.164 0.301
O 0.204 0.133 0.843
O 0.010 0.669 0.892
O 0.875 0.089 0.847
O 0.812 0.965 0.702
O 0.140 0.204 0.705
O 0.057 0.868 0.695
O 0.810 0.923 0.203
O 0.110 0.231 0.188
O 0.115 0.900 0.196
O 0.847 0.312 0.641
O 0.473 0.123 0.625
O 0.649 0.549 0.633
O 0.827 0.517 0.136
O 0.573 0.083 0.178
O 0.403 0.389 0.189
O 0.466 0.308 0.029
O 0.843 0.549 0.030
O 0.717 0.203 0.047
O 0.423 0.132 0.521
O 0.763 0.552 0.538
O 0.787 0.253 0.537
O 0.606 0.655 0.100
O 0.139 0.514 0.951
O 0.398 0.848 0.032
O 0.353 0.448 0.571
O 0.049 0.493 0.569
O 0.604 0.907 0.578
O 0.122 0.602 0.357
O 0.512 0.894 0.347
O 0.374 0.500 0.366
O 0.089 0.477 0.845
O 0.408 0.862 0.868
O 0.445 0.566 0.862
O 0.986 0.752 0.385
O 0.785 0.984 0.387
O 0.223 0.206 0.403
O 0.733 0.977 0.996
O 0.838 0.968 0.883
O 0.375 0.274 0.840
O 0.985 0.202 0.586
O 0.213 0.088 0.592
O 0.858 0.815 0.587
O 0.956 0.791 0.089
O 0.869 0.075 0.089
O 0.217 0.146 0.087
O 0.704 0.098 0.765
O 0.535 0.231 0.757
O 0.667 0.375 0.736
O 0.991 0.676 0.276
O 0.540 0.386 0.219
O 0.637 0.123 0.231
O 0.580 0.440 0.912
O 0.840 0.363 0.920
O 0.512 0.096 0.936
O 0.689 0.261 0.395
O 0.497 0.412 0.442
O 0.796 0.382 0.428
O 0.289 0.425 0.051
O 0.090 0.623 0.087
O 0.516 0.711 0.113
O 0.268 0.868 0.576
O 0.540 0.851 0.529
O 0.321 0.499 0.523
O 0.289 0.810 0.252
O 0.542 0.730 0.255
O 0.232 0.479 0.244
O 0.273 0.474 0.749
O 0.197 0.755 0.756
O 0.538 0.794 0.757

Computed properties:
Final energy, eV per cell: -638.7
Total magnetization, μB per formula unit: 2.92
SG: No. 1
ΔH_f (0 K), meV per atom: -1456.4